# 1
Computed, not measured: a geometry-optimized Na3CaPCO7 structure at the PBE level of DFT.

Results
- E_tot: -6.486 eV/atom
- ΔE_f: -2606 meV per atom
- Space group: P2_1/m (11)
- Energy relative to the lowest polymorph listed for this composition: 0 meV/atom

Cell lengths 5.279, 7.089, 9.191 Å; angles 90.00, 90.20, 90.00 degrees
Fractional positions:
Na (0.240, 0.250, 0.416)
Na (0.248, 0.507, 0.759)
Na (0.248, 0.993, 0.759)
Na (0.752, 0.007, 0.241)
Na (0.752, 0.493, 0.241)
Na (0.760, 0.750, 0.584)
Ca (0.228, 0.750, 0.139)
Ca (0.772, 0.250, 0.861)
P (0.300, 0.250, 0.093)
P (0.700, 0.750, 0.907)
C (0.265, 0.750, 0.443)
C (0.735, 0.250, 0.557)
O (0.041, 0.750, 0.382)
O (0.198, 0.250, 0.934)
O (0.211, 0.073, 0.180)
O (0.211, 0.427, 0.180)
O (0.286, 0.750, 0.584)
O (0.405, 0.750, 0.914)
O (0.468, 0.750, 0.362)
O (0.532, 0.250, 0.638)
O (0.595, 0.250, 0.086)
O (0.714, 0.250, 0.416)
O (0.789, 0.573, 0.820)
O (0.789, 0.927, 0.820)
O (0.802, 0.750, 0.066)
O (0.959, 0.250, 0.618)

=====

# 2
Computed, not measured: a geometry-optimized Na3CaPCO7 structure at the PBE level of DFT.

Results
- E_tot: -6.456 eV/atom
- ΔE_f: -2576 meV per atom
- Space group: P2_1 (4)
- Energy relative to the lowest polymorph listed for this composition: 30 meV/atom

Cell lengths 5.333, 6.887, 9.196 Å; angles 90.00, 90.40, 90.00 degrees
Fractional positions:
Na (0.004, 0.000, 0.330)
Na (0.032, 0.275, 0.019)
Na (0.488, 0.284, 0.484)
Na (0.512, 0.784, 0.516)
Na (0.968, 0.775, 0.981)
Na (0.996, 0.500, 0.670)
Ca (0.475, 0.564, 0.191)
Ca (0.525, 0.064, 0.809)
P (0.497, 0.037, 0.163)
P (0.503, 0.537, 0.837)
C (0.014, 0.047, 0.647)
C (0.986, 0.547, 0.353)
O (0.034, 0.048, 0.788)
O (0.206, 0.569, 0.413)
O (0.213, 0.027, 0.567)
O (0.254, 0.964, 0.088)
O (0.294, 0.556, 0.953)
O (0.417, 0.386, 0.720)
O (0.439, 0.235, 0.237)
O (0.561, 0.735, 0.763)
O (0.583, 0.886, 0.280)
O (0.706, 0.056, 0.047)
O (0.746, 0.464, 0.912)
O (0.787, 0.527, 0.433)
O (0.794, 0.069, 0.587)
O (0.966, 0.548, 0.212)

=====

# 3
Computed, not measured: a geometry-optimized Na2CaPb3C5O15 structure at the PBE level of DFT.

Results
- E_tot: -6.881 eV/atom
- ΔE_f: -2041 meV per atom
- Space group: Cc (9)
- Energy relative to the lowest polymorph listed for this composition: 2 meV/atom

Cell lengths 10.699, 10.699, 13.518 Å; angles 90.85, 90.85, 60.17 degrees
Fractional positions:
Na (0.002, 0.998, 0.500)
Na (0.046, 0.477, 0.248)
Na (0.051, 0.473, 0.752)
Na (0.473, 0.051, 0.252)
Na (0.477, 0.046, 0.748)
Na (0.575, 0.998, 0.500)
Na (0.998, 0.002, 0.000)
Na (0.998, 0.575, 0.000)
Ca (0.002, 0.571, 0.506)
Ca (0.045, 0.051, 0.257)
Ca (0.051, 0.045, 0.757)
Ca (0.571, 0.002, 0.006)
Pb (0.211, 0.671, 0.844)
Pb (0.215, 0.674, 0.342)
Pb (0.357, 0.377, 0.095)
Pb (0.363, 0.836, 0.091)
Pb (0.374, 0.838, 0.587)
Pb (0.377, 0.357, 0.595)
Pb (0.671, 0.211, 0.344)
Pb (0.674, 0.215, 0.842)
Pb (0.676, 0.689, 0.336)
Pb (0.689, 0.676, 0.836)
Pb (0.836, 0.363, 0.591)
Pb (0.838, 0.374, 0.087)
C (0.115, 0.732, 0.123)
C (0.116, 0.730, 0.622)
C (0.189, 0.194, 0.595)
C (0.194, 0.189, 0.095)
C (0.317, 0.323, 0.373)
C (0.319, 0.933, 0.370)
C (0.321, 0.934, 0.872)
C (0.323, 0.317, 0.873)
C (0.524, 0.525, 0.521)
C (0.524, 0.526, 0.771)
C (0.525, 0.524, 0.021)
C (0.526, 0.524, 0.271)
C (0.726, 0.732, 0.121)
C (0.730, 0.116, 0.122)
C (0.732, 0.115, 0.623)
C (0.732, 0.726, 0.621)
C (0.859, 0.861, 0.845)
C (0.861, 0.859, 0.345)
C (0.933, 0.319, 0.870)
C (0.934, 0.321, 0.372)
O (0.063, 0.754, 0.534)
O (0.065, 0.756, 0.036)
O (0.118, 0.124, 0.603)
O (0.118, 0.335, 0.589)
O (0.124, 0.118, 0.103)
O (0.124, 0.329, 0.093)
O (0.142, 0.611, 0.666)
O (0.143, 0.825, 0.171)
O (0.144, 0.821, 0.669)
O (0.145, 0.613, 0.170)
O (0.224, 0.910, 0.414)
O (0.225, 0.442, 0.420)
O (0.228, 0.909, 0.916)
O (0.234, 0.437, 0.921)
O (0.292, 0.987, 0.283)
O (0.293, 0.296, 0.286)
O (0.294, 0.987, 0.785)
O (0.296, 0.293, 0.786)
O (0.329, 0.124, 0.593)
O (0.335, 0.118, 0.089)
O (0.384, 0.595, 0.521)
O (0.385, 0.594, 0.023)
O (0.437, 0.234, 0.421)
O (0.439, 0.902, 0.417)
O (0.440, 0.906, 0.919)
O (0.442, 0.225, 0.920)
O (0.454, 0.456, 0.774)
O (0.455, 0.664, 0.271)
O (0.455, 0.666, 0.771)
O (0.456, 0.454, 0.274)
O (0.594, 0.385, 0.523)
O (0.595, 0.384, 0.021)
O (0.595, 0.595, 0.022)
O (0.595, 0.595, 0.522)
O (0.607, 0.825, 0.165)
O (0.611, 0.142, 0.166)
O (0.613, 0.145, 0.670)
O (0.613, 0.816, 0.666)
O (0.664, 0.455, 0.771)
O (0.666, 0.455, 0.271)
O (0.718, 0.931, 0.852)
O (0.721, 0.928, 0.344)
O (0.753, 0.760, 0.034)
O (0.754, 0.063, 0.034)
O (0.756, 0.065, 0.536)
O (0.760, 0.753, 0.534)
O (0.816, 0.613, 0.166)
O (0.821, 0.144, 0.169)
O (0.825, 0.143, 0.671)
O (0.825, 0.607, 0.665)
O (0.902, 0.439, 0.917)
O (0.906, 0.440, 0.419)
O (0.909, 0.228, 0.416)
O (0.910, 0.224, 0.914)
O (0.928, 0.721, 0.844)
O (0.928, 0.932, 0.839)
O (0.931, 0.718, 0.352)
O (0.932, 0.928, 0.339)
O (0.987, 0.292, 0.783)
O (0.987, 0.294, 0.285)

=====

# 4
Computed, not measured: a geometry-optimized Na2CaPb3C5O15 structure at the PBE level of DFT.

Results
- E_tot: -6.884 eV/atom
- ΔE_f: -2043 meV per atom
- Space group: Cc (9)
- Energy relative to the lowest polymorph listed for this composition: 0 meV/atom

Cell lengths 10.707, 10.707, 6.719 Å; angles 90.47, 90.47, 120.29 degrees
Fractional positions:
Na (0.023, 0.977, 0.500)
Na (0.024, 0.549, 0.499)
Na (0.549, 0.024, 0.999)
Na (0.977, 0.023, 0.000)
Ca (0.455, 0.977, 0.493)
Ca (0.977, 0.455, 0.993)
Pb (0.184, 0.337, 0.324)
Pb (0.337, 0.184, 0.824)
Pb (0.349, 0.659, 0.816)
Pb (0.659, 0.349, 0.316)
Pb (0.668, 0.818, 0.315)
Pb (0.818, 0.668, 0.815)
C (0.091, 0.297, 0.770)
C (0.168, 0.832, 0.815)
C (0.295, 0.705, 0.268)
C (0.297, 0.091, 0.270)
C (0.500, 0.500, 0.472)
C (0.500, 0.500, 0.972)
C (0.704, 0.910, 0.768)
C (0.705, 0.295, 0.768)
C (0.832, 0.168, 0.315)
C (0.910, 0.704, 0.268)
O (0.042, 0.272, 0.948)
O (0.098, 0.691, 0.824)
O (0.098, 0.902, 0.819)
O (0.112, 0.415, 0.682)
O (0.119, 0.207, 0.675)
O (0.201, 0.587, 0.173)
O (0.207, 0.119, 0.175)
O (0.272, 0.042, 0.448)
O (0.272, 0.729, 0.448)
O (0.309, 0.903, 0.804)
O (0.360, 0.430, 0.968)
O (0.412, 0.801, 0.179)
O (0.415, 0.112, 0.182)
O (0.430, 0.360, 0.468)
O (0.430, 0.570, 0.471)
O (0.570, 0.430, 0.971)
O (0.571, 0.641, 0.967)
O (0.585, 0.887, 0.672)
O (0.587, 0.201, 0.673)
O (0.641, 0.571, 0.467)
O (0.691, 0.098, 0.324)
O (0.728, 0.957, 0.946)
O (0.729, 0.272, 0.948)
O (0.794, 0.882, 0.672)
O (0.801, 0.412, 0.679)
O (0.882, 0.794, 0.172)
O (0.887, 0.585, 0.172)
O (0.902, 0.098, 0.319)
O (0.903, 0.309, 0.304)
O (0.957, 0.728, 0.446)

=====

# 5
Computed, not measured: a geometry-optimized CaC2O5 structure at the PBE level of DFT.

Results
- E_tot: -6.961 eV/atom
- ΔE_f: -1740 meV per atom
- Space group: P2_1/c (14)
- Energy relative to the lowest polymorph listed for this composition: 0 meV/atom

Cell lengths 6.306, 14.801, 9.930 Å; angles 90.00, 106.90, 90.00 degrees
Fractional positions:
Ca (0.003, 0.125, 0.439)
Ca (0.003, 0.375, 0.939)
Ca (0.015, 0.625, 0.441)
Ca (0.015, 0.875, 0.941)
Ca (0.985, 0.125, 0.059)
Ca (0.985, 0.375, 0.559)
Ca (0.997, 0.625, 0.061)
Ca (0.997, 0.875, 0.561)
C (0.004, 0.572, 0.750)
C (0.004, 0.928, 0.250)
C (0.014, 0.678, 0.752)
C (0.014, 0.822, 0.252)
C (0.449, 0.125, 0.318)
C (0.449, 0.375, 0.818)
C (0.467, 0.624, 0.318)
C (0.467, 0.876, 0.818)
C (0.533, 0.124, 0.182)
C (0.533, 0.376, 0.682)
C (0.551, 0.625, 0.182)
C (0.551, 0.875, 0.682)
C (0.986, 0.178, 0.748)
C (0.986, 0.322, 0.248)
C (0.996, 0.072, 0.750)
C (0.996, 0.428, 0.250)
O (0.008, 0.034, 0.638)
O (0.008, 0.466, 0.138)
O (0.009, 0.533, 0.638)
O (0.009, 0.717, 0.865)
O (0.009, 0.783, 0.365)
O (0.009, 0.967, 0.138)
O (0.023, 0.717, 0.640)
O (0.023, 0.783, 0.140)
O (0.242, 0.128, 0.296)
O (0.242, 0.372, 0.796)
O (0.260, 0.625, 0.297)
O (0.260, 0.875, 0.797)
O (0.384, 0.124, 0.065)
O (0.384, 0.376, 0.565)
O (0.403, 0.622, 0.065)
O (0.403, 0.878, 0.565)
O (0.405, 0.145, 0.608)
O (0.405, 0.355, 0.108)
O (0.412, 0.601, 0.609)
O (0.412, 0.899, 0.109)
O (0.588, 0.101, 0.891)
O (0.588, 0.399, 0.391)
O (0.595, 0.645, 0.892)
O (0.595, 0.855, 0.392)
O (0.597, 0.122, 0.435)
O (0.597, 0.378, 0.935)
O (0.616, 0.624, 0.435)
O (0.616, 0.876, 0.935)
O (0.740, 0.125, 0.203)
O (0.740, 0.375, 0.703)
O (0.758, 0.628, 0.204)
O (0.758, 0.872, 0.704)
O (0.977, 0.217, 0.860)
O (0.977, 0.283, 0.360)
O (0.991, 0.033, 0.862)
O (0.991, 0.217, 0.635)
O (0.991, 0.283, 0.135)
O (0.991, 0.467, 0.362)
O (0.992, 0.534, 0.862)
O (0.992, 0.966, 0.362)

=====

# 6
Computed, not measured: a geometry-optimized CaCO4 structure at the PBE level of DFT.

Results
- E_tot: -6.643 eV/atom
- ΔE_f: -1930 meV per atom
- Space group: P3_1 (144)

Cell lengths 11.186, 11.186, 8.000 Å; angles 90.00, 90.00, 120.00 degrees
Fractional positions:
Ca (0.215, 0.100, 0.000)
Ca (0.221, 0.770, 0.331)
Ca (0.230, 0.451, 0.664)
Ca (0.549, 0.779, 0.997)
Ca (0.558, 0.439, 0.296)
Ca (0.561, 0.119, 0.630)
Ca (0.881, 0.442, 0.963)
Ca (0.884, 0.785, 0.667)
Ca (0.900, 0.116, 0.333)
C (0.066, 0.163, 0.688)
C (0.097, 0.934, 0.355)
C (0.169, 0.572, 0.005)
C (0.403, 0.831, 0.672)
C (0.428, 0.597, 0.338)
C (0.501, 0.265, 0.947)
C (0.735, 0.237, 0.281)
C (0.763, 0.499, 0.614)
C (0.837, 0.903, 0.022)
O (0.035, 0.230, 0.581)
O (0.047, 0.823, 0.443)
O (0.050, 0.019, 0.380)
O (0.081, 0.903, 0.836)
O (0.097, 0.178, 0.169)
O (0.104, 0.618, 0.093)
O (0.106, 0.476, 0.896)
O (0.157, 0.569, 0.485)
O (0.177, 0.225, 0.776)
O (0.195, 0.965, 0.248)
O (0.301, 0.621, 0.031)
O (0.320, 0.699, 0.698)
O (0.370, 0.894, 0.562)
O (0.379, 0.680, 0.364)
O (0.382, 0.486, 0.426)
O (0.412, 0.843, 0.152)
O (0.431, 0.588, 0.819)
O (0.437, 0.152, 0.861)
O (0.438, 0.297, 0.058)
O (0.489, 0.239, 0.456)
O (0.514, 0.896, 0.760)
O (0.524, 0.630, 0.229)
O (0.633, 0.349, 0.916)
O (0.651, 0.284, 0.250)
O (0.703, 0.142, 0.391)
O (0.715, 0.563, 0.528)
O (0.716, 0.367, 0.583)
O (0.750, 0.511, 0.122)
O (0.761, 0.250, 0.789)
O (0.770, 0.805, 0.914)
O (0.775, 0.953, 0.110)
O (0.822, 0.919, 0.502)
O (0.848, 0.285, 0.194)
O (0.858, 0.562, 0.724)
O (0.969, 0.950, 0.047)
O (0.981, 0.031, 0.714)

=====

# 7
Computed, not measured: a geometry-optimized CaC2O5 structure at the PBE level of DFT.

Results
- E_tot: -7.107 eV/atom
- ΔE_f: -1557 meV per atom
- Space group: P2_1/c (14)
- Energy relative to the lowest polymorph listed for this composition: 183 meV/atom

Cell lengths 5.715, 18.259, 10.787 Å; angles 90.00, 114.28, 90.00 degrees
Fractional positions:
Ca (0.122, 0.127, 0.496)
Ca (0.122, 0.373, 0.996)
Ca (0.149, 0.625, 0.500)
Ca (0.149, 0.875, 0.000)
Ca (0.851, 0.125, 0.000)
Ca (0.851, 0.375, 0.500)
Ca (0.878, 0.627, 0.004)
Ca (0.878, 0.873, 0.504)
C (0.014, 0.008, 0.754)
C (0.014, 0.492, 0.254)
C (0.027, 0.744, 0.753)
C (0.027, 0.756, 0.253)
C (0.478, 0.120, 0.319)
C (0.478, 0.380, 0.819)
C (0.494, 0.125, 0.176)
C (0.494, 0.375, 0.676)
C (0.506, 0.625, 0.324)
C (0.506, 0.875, 0.824)
C (0.522, 0.620, 0.181)
C (0.522, 0.880, 0.681)
C (0.973, 0.244, 0.747)
C (0.973, 0.256, 0.247)
C (0.986, 0.508, 0.746)
C (0.986, 0.992, 0.246)
O (0.006, 0.012, 0.643)
O (0.006, 0.488, 0.143)
O (0.017, 0.006, 0.863)
O (0.017, 0.494, 0.363)
O (0.017, 0.744, 0.642)
O (0.017, 0.756, 0.142)
O (0.030, 0.743, 0.863)
O (0.030, 0.757, 0.363)
O (0.255, 0.124, 0.317)
O (0.255, 0.376, 0.817)
O (0.282, 0.624, 0.322)
O (0.282, 0.876, 0.822)
O (0.288, 0.129, 0.071)
O (0.288, 0.371, 0.571)
O (0.316, 0.613, 0.077)
O (0.316, 0.887, 0.577)
O (0.444, 0.141, 0.673)
O (0.444, 0.359, 0.173)
O (0.450, 0.621, 0.686)
O (0.450, 0.879, 0.186)
O (0.550, 0.121, 0.814)
O (0.550, 0.379, 0.314)
O (0.556, 0.641, 0.827)
O (0.556, 0.859, 0.327)
O (0.684, 0.113, 0.423)
O (0.684, 0.387, 0.923)
O (0.712, 0.629, 0.429)
O (0.712, 0.871, 0.929)
O (0.718, 0.124, 0.178)
O (0.718, 0.376, 0.678)
O (0.745, 0.624, 0.183)
O (0.745, 0.876, 0.683)
O (0.970, 0.243, 0.637)
O (0.970, 0.257, 0.137)
O (0.983, 0.244, 0.858)
O (0.983, 0.256, 0.358)
O (0.983, 0.506, 0.637)
O (0.983, 0.994, 0.137)
O (0.994, 0.512, 0.857)
O (0.994, 0.988, 0.357)